# ErCo4B | the Materials Project | PBE | relaxed
# E_tot	-6.93	eV per atom
data_ErCo4B
_chemical_formula_sum 'Er2 Co8 B2'
_cell_length_a 4.9672
_cell_length_b 4.9672
_cell_length_c 6.8438
_cell_angle_alpha 90.00
_cell_angle_beta 90.00
_cell_angle_gamma 120.00
_symmetry_space_group_name_H-M 'P 6/m m m'
_symmetry_Int_Tables_number 191
_symmetry_space_group_name_Hall '-P 6 2'
loop_
_atom_site_label
_atom_site_type_symbol
_atom_site_fract_x
_atom_site_fract_y
_atom_site_fract_z
_atom_site_occupancy
Er1 Er 0.0000 0.0000 0.0000 1
Er2 Er 0.0000 0.0000 0.5000 1
Co1 Co 0.0000 0.5000 0.2119 1
Co2 Co 0.3333 0.6667 0.5000 1
B1 B 0.3333 0.6667 0.0000 1

***

# Dy4Si2S3O7 | the Materials Project | PBE | relaxed
# E_tot	-7.64	eV per atom
data_Dy4Si2S3O7
_chemical_formula_sum 'Dy32 Si16 S24 O56'
_cell_length_a 11.735
_cell_length_b 11.735
_cell_length_c 13.694
_cell_angle_alpha 90.00
_cell_angle_beta 90.00
_cell_angle_gamma 90.00
_symmetry_space_group_name_H-M 'I 41/a m d'
_symmetry_Int_Tables_number 141
loop_
_symmetry_equiv_pos_as_xyz
'x,y,z'
'-x,-y,-z'
'-y+1/4,x+3/4,z+1/4'
'y+1/4,-x+3/4,-z+1/4'
'-x+1/2,-y,z+1/2'
'x+1/2,y,-z+1/2'
'y+1/4,-x+1/4,z+3/4'
'-y+1/4,x+1/4,-z+3/4'
'x,-y,-z'
'-x,y,z'
'-y+1/4,-x+1/4,-z+3/4'
'y+1/4,x+1/4,z+3/4'
'-x+1/2,y,-z+1/2'
'x+1/2,-y,z+1/2'
'y+1/4,x+3/4,-z+1/4'
'-y+1/4,-x+3/4,z+1/4'
'x+1/2,y+1/2,z+1/2'
'-x+1/2,-y+1/2,-z+1/2'
'-y+3/4,x+1/4,z+3/4'
'y+3/4,-x+1/4,-z+3/4'
'-x,-y+1/2,z'
'x,y+1/2,-z'
'y+3/4,-x+3/4,z+1/4'
'-y+3/4,x+3/4,-z+1/4'
'x+1/2,-y+1/2,-z+1/2'
'-x+1/2,y+1/2,z+1/2'
'-y+3/4,-x+3/4,-z+1/4'
'y+3/4,x+3/4,z+1/4'
'-x,y+1/2,-z'
'x,-y+1/2,z'
'y+3/4,x+1/4,-z+3/4'
'-y+3/4,-x+1/4,z+3/4'
loop_
_atom_site_label
_atom_site_type_symbol
_atom_site_fract_x
_atom_site_fract_y
_atom_site_fract_z
_atom_site_occupancy
Dy1 Dy 0.000 0.014 0.342 1
Dy2 Dy 0.172 0.078 0.875 1
Si1 Si 0.000 0.125 0.096 1
S1 S 0.000 0.250 0.375 1
S2 S 0.000 0.250 0.875 1
S3 S 0.146 0.000 0.500 1
O1 O 0.000 0.017 0.174 1
O2 O 0.000 0.250 0.149 1
O3 O 0.123 0.109 0.042 1

***

# Pr2MgSe4 | the Materials Project | PBE | relaxed
# excess energy over the best structure of this formula in the dataset	0.143	eV per atom
# E_tot	-5.11	eV per atom
data_Pr2MgSe4
_chemical_formula_sum 'Pr8 Mg4 Se16'
_cell_length_a 8.640
_cell_length_b 7.496
_cell_length_c 12.397
_cell_angle_alpha 90.00
_cell_angle_beta 90.00
_cell_angle_gamma 90.00
_symmetry_space_group_name_H-M 'P n m a'
_symmetry_Int_Tables_number 62
_symmetry_space_group_name_Hall '-P 2ac 2n'
loop_
_atom_site_label
_atom_site_type_symbol
_atom_site_fract_x
_atom_site_fract_y
_atom_site_fract_z
_atom_site_occupancy
Pr1 Pr 0.038 0.250 0.180 1
Pr2 Pr 0.085 0.750 0.463 1
Mg1 Mg 0.194 0.750 0.082 1
Se1 Se 0.088 0.250 0.937 1
Se2 Se 0.142 0.508 0.654 1
Se3 Se 0.208 0.250 0.389 1

***

# Sm2TlBr5 | the Materials Project | PBE | relaxed
# E_tot	-3.87	eV per atom
data_Sm2TlBr5
_chemical_formula_sum 'Sm8 Tl4 Br20'
_cell_length_a 9.190
_cell_length_b 7.829
_cell_length_c 13.378
_cell_angle_alpha 90.00
_cell_angle_beta 91.85
_cell_angle_gamma 90.00
_symmetry_space_group_name_H-M 'P 1 21/c 1'
_symmetry_Int_Tables_number 14
_symmetry_space_group_name_Hall '-P 2ybc'
loop_
_atom_site_label
_atom_site_type_symbol
_atom_site_fract_x
_atom_site_fract_y
_atom_site_fract_z
_atom_site_occupancy
Sm1 Sm 0.011 0.060 0.169 1
Sm2 Sm 0.244 0.085 0.511 1
Tl1 Tl 0.495 0.087 0.165 1
Br1 Br 0.038 0.669 0.106 1
Br2 Br 0.210 0.646 0.823 1
Br3 Br 0.212 0.032 0.998 1
Br4 Br 0.220 0.166 0.728 1
Br5 Br 0.475 0.661 0.088 1

***

# Er4CuGe8 | the Materials Project | PBE | relaxed
# E_tot	-5.14	eV per atom
data_Er4CuGe8
_chemical_formula_sum 'Er4 Cu1 Ge8'
_cell_length_a 3.947
_cell_length_b 4.044
_cell_length_c 16.356
_cell_angle_alpha 90.00
_cell_angle_beta 90.00
_cell_angle_gamma 90.00
_symmetry_space_group_name_H-M 'P m m 2'
_symmetry_Int_Tables_number 25
_symmetry_space_group_name_Hall 'P 2 -2'
loop_
_atom_site_label
_atom_site_type_symbol
_atom_site_fract_x
_atom_site_fract_y
_atom_site_fract_z
_atom_site_occupancy
Er1 Er 0.000 0.000 0.000 1
Er2 Er 0.000 0.500 0.491 1
Er3 Er 0.500 0.000 0.790 1
Er4 Er 0.500 0.500 0.285 1
Cu1 Cu 0.000 0.500 0.715 1
Ge1 Ge 0.000 0.000 0.337 1
Ge2 Ge 0.000 0.000 0.629 1
Ge3 Ge 0.000 0.500 0.141 1
Ge4 Ge 0.000 0.500 0.857 1
Ge5 Ge 0.500 0.000 0.144 1
Ge6 Ge 0.500 0.000 0.438 1
Ge7 Ge 0.500 0.500 0.628 1
Ge8 Ge 0.500 0.500 0.954 1

***

# KHg5Br11 | the Materials Project | PBE | relaxed
# E_tot	-1.82	eV per atom
data_KHg5Br11
_chemical_formula_sum 'K2 Hg10 Br22'
_cell_length_a 12.896
_cell_length_b 15.679
_cell_length_c 6.991
_cell_angle_alpha 90.00
_cell_angle_beta 118.73
_cell_angle_gamma 90.00
_symmetry_space_group_name_H-M 'C 1 2/m 1'
_symmetry_Int_Tables_number 12
_symmetry_space_group_name_Hall '-C 2y'
loop_
_atom_site_label
_atom_site_type_symbol
_atom_site_fract_x
_atom_site_fract_y
_atom_site_fract_z
_atom_site_occupancy
K1 K 0.000 0.000 0.000 1
Hg1 Hg 0.000 0.500 0.000 1
Hg2 Hg 0.181 0.166 0.684 1
Br1 Br 0.000 0.000 0.500 1
Br2 Br 0.078 0.218 0.301 1
Br3 Br 0.148 0.500 0.390 1
Br4 Br 0.206 0.375 0.927 1

***

# TbAg2 | the Materials Project | PBE | relaxed
# E_tot	-3.75	eV per atom
data_TbAg2
_chemical_formula_sum 'Tb2 Ag4'
_cell_length_a 3.779
_cell_length_b 3.779
_cell_length_c 9.264
_cell_angle_alpha 90.00
_cell_angle_beta 90.00
_cell_angle_gamma 90.00
_symmetry_space_group_name_H-M 'I 4/m m m'
_symmetry_Int_Tables_number 139
_symmetry_space_group_name_Hall '-I 4 2'
loop_
_atom_site_label
_atom_site_type_symbol
_atom_site_fract_x
_atom_site_fract_y
_atom_site_fract_z
_atom_site_occupancy
Tb1 Tb 0.000 0.000 0.000 1
Ag1 Ag 0.000 0.000 0.331 1

***

# BaAlGeF | the Materials Project | PBE | relaxed
# E_tot	-4.75	eV per atom
data_BaAlGeF
_chemical_formula_sum 'Ba2 Al2 Ge2 F2'
_cell_length_a 4.286
_cell_length_b 4.286
_cell_length_c 9.922
_cell_angle_alpha 90.00
_cell_angle_beta 90.00
_cell_angle_gamma 90.00
_symmetry_space_group_name_H-M 'P 4/n m m'
_symmetry_Int_Tables_number 129
loop_
_symmetry_equiv_pos_as_xyz
'x,y,z'
'-x,-y,-z'
'-y+1/2,x,z'
'y+1/2,-x,-z'
'-x+1/2,-y+1/2,z'
'x+1/2,y+1/2,-z'
'y,-x+1/2,z'
'-y,x+1/2,-z'
'x+1/2,-y,-z'
'-x+1/2,y,z'
'-y,-x,-z'
'y,x,z'
'-x,y+1/2,-z'
'x,-y+1/2,z'
'y+1/2,x+1/2,-z'
'-y+1/2,-x+1/2,z'
loop_
_atom_site_label
_atom_site_type_symbol
_atom_site_fract_x
_atom_site_fract_y
_atom_site_fract_z
_atom_site_occupancy
Ba1 Ba 0.250 0.250 0.160 1
Al1 Al 0.250 0.750 0.500 1
Ge1 Ge 0.250 0.250 0.656 1
F1 F 0.250 0.750 0.000 1

***

# Ca2Mg5Si8O24 | the Materials Project | PBE | relaxed
# excess energy over the best structure of this formula in the dataset	0.000	eV per atom
# E_tot	-7.21	eV per atom
data_Ca2Mg5Si8O24
_chemical_formula_sum 'Ca4 Mg10 Si16 O48'
_cell_length_a 9.997
_cell_length_b 18.382
_cell_length_c 5.335
_cell_angle_alpha 90.00
_cell_angle_beta 104.57
_cell_angle_gamma 90.00
_symmetry_space_group_name_H-M 'C 1 2/m 1'
_symmetry_Int_Tables_number 12
_symmetry_space_group_name_Hall '-C 2y'
loop_
_atom_site_label
_atom_site_type_symbol
_atom_site_fract_x
_atom_site_fract_y
_atom_site_fract_z
_atom_site_occupancy
Ca1 Ca 0.000 0.221 0.000 1
Mg1 Mg 0.000 0.322 0.500 1
Mg2 Mg 0.000 0.406 0.000 1
Mg3 Mg 0.000 0.500 0.500 1
Si1 Si 0.211 0.171 0.698 1
Si2 Si 0.221 0.084 0.207 1
O1 O 0.085 0.500 0.181 1
O2 O 0.111 0.413 0.711 1
O3 O 0.119 0.327 0.224 1
O4 O 0.132 0.246 0.706 1
O5 O 0.155 0.133 0.406 1
O6 O 0.158 0.120 0.918 1
O7 O 0.166 0.000 0.205 1

***

# CaSc2S4 | the Materials Project | PBE | relaxed
# E_tot	-6.44	eV per atom
data_CaSc2S4
_chemical_formula_sum 'Ca4 Sc8 S16'
_cell_length_a 11.568
_cell_length_b 3.744
_cell_length_c 13.532
_cell_angle_alpha 90.00
_cell_angle_beta 90.00
_cell_angle_gamma 90.00
_symmetry_space_group_name_H-M 'P n m a'
_symmetry_Int_Tables_number 62
_symmetry_space_group_name_Hall '-P 2ac 2n'
loop_
_atom_site_label
_atom_site_type_symbol
_atom_site_fract_x
_atom_site_fract_y
_atom_site_fract_z
_atom_site_occupancy
Ca1 Ca 0.240 0.250 0.167 1
Sc1 Sc 0.058 0.250 0.388 1
Sc2 Sc 0.085 0.250 0.903 1
S1 S 0.033 0.750 0.785 1
S2 S 0.091 0.250 0.575 1
S3 S 0.126 0.750 0.033 1
S4 S 0.202 0.750 0.331 1

***

# Na2GaCuF7 | the Materials Project | PBE | relaxed
# E_tot	-4.50	eV per atom
data_Na2GaCuF7
_chemical_formula_sum 'Na16 Ga8 Cu8 F56'
_cell_length_a 12.567
_cell_length_b 7.423
_cell_length_c 13.004
_cell_angle_alpha 90.00
_cell_angle_beta 109.82
_cell_angle_gamma 90.00
_symmetry_space_group_name_H-M 'C 1 2/c 1'
_symmetry_Int_Tables_number 15
_symmetry_space_group_name_Hall '-C 2yc'
loop_
_atom_site_label
_atom_site_type_symbol
_atom_site_fract_x
_atom_site_fract_y
_atom_site_fract_z
_atom_site_occupancy
Na1 Na 0.000 0.000 0.000 1
Na2 Na 0.000 0.231 0.250 1
Na3 Na 0.247 0.467 0.253 1
Ga1 Ga 0.000 0.245 0.750 1
Ga2 Ga 0.250 0.250 0.500 1
Cu1 Cu 0.000 0.500 0.000 1
Cu2 Cu 0.250 0.250 0.000 1
F1 F 0.046 0.054 0.674 1
F2 F 0.048 0.434 0.675 1
F3 F 0.091 0.310 0.465 1
F4 F 0.125 0.326 0.051 1
F5 F 0.158 0.243 0.845 1
F6 F 0.204 0.019 0.532 1
F7 F 0.209 0.203 0.344 1

***

# YMg14Sb | the Materials Project | PBE | relaxed
# excess energy over the best structure of this formula in the dataset	0.039	eV per atom
# E_tot	-2.10	eV per atom
data_YMg14Sb
_chemical_formula_sum 'Y1 Mg14 Sb1'
_cell_length_a 6.4810
_cell_length_b 6.4810
_cell_length_c 10.4666
_cell_angle_alpha 90.00
_cell_angle_beta 90.00
_cell_angle_gamma 120.00
_symmetry_space_group_name_H-M 'P -6 m 2'
_symmetry_Int_Tables_number 187
_symmetry_space_group_name_Hall 'P -6 2'
loop_
_atom_site_label
_atom_site_type_symbol
_atom_site_fract_x
_atom_site_fract_y
_atom_site_fract_z
_atom_site_occupancy
Y1 Y 0.0000 0.0000 0.0000 1
Mg1 Mg 0.0069 0.5035 0.0000 1
Mg2 Mg 0.1672 0.3343 0.2516 1
Mg3 Mg 0.5019 0.0037 0.5000 1
Mg4 Mg 0.6667 0.3333 0.2452 1
Sb1 Sb 0.0000 0.0000 0.5000 1

***

Number 1: ΔE_f -0.319 eV/atom. Number 2: ΔE_f -3.265 eV/atom. Number 3: ΔE_f -1.788 eV/atom. Number 4: ΔE_f -1.701 eV/atom. Number 5: ΔE_f -0.570 eV/atom. Number 6: ΔE_f -0.956 eV/atom. Number 7: ΔE_f -0.322 eV/atom. Number 8: ΔE_f -1.814 eV/atom. Number 9: ΔE_f -3.168 eV/atom. Number 10: ΔE_f -2.264 eV/atom. Number 11: ΔE_f -2.682 eV/atom. Number 12: ΔE_f -0.046 eV/atom.